Crystalline Tl2Mo9Se11 at its relaxed geometry. Source: the Materials Project database, functional PBE.

a = 9.8163 Å, b = 9.8163 Å, c = 36.8213 Å
α = 90.00°, β = 90.00°, γ = 120.00°
Closest atoms and distances in Å follow each position.
Space group R-3 (No. 148, hexagonal axes)
Inequivalent atoms, fractional coordinates:
Tl 0.0000 0.0000 0.1703 (multiplicity 6)  1 Se 3.12
Tl 0.0000 0.0000 0.2680 (multiplicity 6)  4 Se 3.10-3.24
Mo 0.0090 0.1627 0.4699 (multiplicity 18)  4 Se 2.60-2.73, 6 Mo 2.69-2.81
Mo 0.0154 0.1626 0.5929 (multiplicity 18)  5 Se 2.53-2.73, 4 Mo 2.64-2.81
Mo 0.0153 0.1661 0.0309 (multiplicity 18)  5 Se 2.55-2.70, 4 Mo 2.70-2.76
Se 0.0000 0.0000 0.0856 (multiplicity 6)  3 Mo 2.55
Se 0.0000 0.0000 0.3521 (multiplicity 6)  3 Mo 2.53
Se 0.0101 0.3724 0.0787 (multiplicity 18)  4 Mo 2.60-2.70
Se 0.0110 0.3757 0.6400 (multiplicity 18)  4 Mo 2.58-2.73
Se 0.0158 0.3670 0.1989 (multiplicity 18)  4 Mo 2.63-2.73

Results
Energy of formation: -743 meV per atom